{
  "formula": "Na10Ca6Si3Sn2S9O48",
  "functional": "PBE",
  "state": "relaxed",
  "lattice_angstrom": [[9.316, 0.000, 0.000], [-0.031, 16.032, 0.000], [-0.040, -0.016, 23.517]],
  "species": ["Na", "Na", "Na", "Na", "Na", "Na", "Na", "Na", "Na", "Na", "Na", "Na", "Na", "Na", "Na", "Na", "Na", "Na", "Na", "Na", "Na", "Na", "Na", "Na", "Na", "Na", "Na", "Na", "Na", "Na", "Ca", "Ca", "Ca", "Ca", "Ca", "Ca", "Ca", "Ca", "Ca", "Ca", "Ca", "Ca", "Ca", "Ca", "Ca", "Ca", "Ca", "Ca", "Si", "Si", "Si", "Si", "Si", "Si", "Si", "Si", "Si", "Sn", "Sn", "Sn", "Sn", "Sn", "Sn", "S", "S", "S", "S", "S", "S", "S", "S", "S", "S", "S", "S", "S", "S", "S", "S", "S", "S", "S", "S", "S", "S", "S", "S", "S", "S", "S", "O", "O", "O", "O", "O", "O", "O", "O", "O", "O", "O", "O", "O", "O", "O", "O", "O", "O", "O", "O", "O", "O", "O", "O", "O", "O", "O", "O", "O", "O", "O", "O", "O", "O", "O", "O", "O", "O", "O", "O", "O", "O", "O", "O", "O", "O", "O", "O", "O", "O", "O", "O", "O", "O", "O", "O", "O", "O", "O", "O", "O", "O", "O", "O", "O", "O", "O", "O", "O", "O", "O", "O", "O", "O", "O", "O", "O", "O", "O", "O", "O", "O", "O", "O", "O", "O", "O", "O", "O", "O", "O", "O", "O", "O", "O", "O", "O", "O", "O", "O", "O", "O", "O", "O", "O", "O", "O", "O", "O", "O", "O", "O", "O", "O", "O", "O", "O", "O", "O", "O", "O", "O", "O", "O", "O", "O", "O", "O", "O", "O", "O", "O", "O", "O", "O", "O", "O", "O", "O", "O", "O", "O", "O", "O"],
  "frac_coords": [[0.000, 0.000, 0.000], [0.000, 0.296, 0.666], [0.021, 0.992, 0.662], [0.147, 0.804, 0.755], [0.151, 0.475, 0.911], [0.163, 0.153, 0.589], [0.164, 0.156, 0.081], [0.177, 0.823, 0.252], [0.196, 0.490, 0.416], [0.300, 0.650, 0.831], [0.311, 0.329, 0.502], [0.324, 0.301, 0.161], [0.350, 0.673, 0.171], [0.358, 0.628, 0.501], [0.471, 0.127, 0.999], [0.479, 0.172, 0.670], [0.519, 0.828, 0.000], [0.642, 0.984, 0.914], [0.655, 0.323, 0.751], [0.660, 0.651, 0.581], [0.670, 0.653, 0.089], [0.670, 0.981, 0.410], [0.680, 0.308, 0.255], [0.824, 0.485, 0.163], [0.831, 0.795, 0.166], [0.832, 0.501, 0.502], [0.850, 0.130, 0.494], [0.864, 0.178, 0.178], [0.975, 0.317, 0.324], [0.983, 0.630, 0.995], [0.152, 0.142, 0.423], [0.161, 0.147, 0.237], [0.162, 0.154, 0.736], [0.162, 0.821, 0.398], [0.163, 0.479, 0.065], [0.163, 0.820, 0.896], [0.166, 0.152, 0.930], [0.167, 0.813, 0.600], [0.173, 0.484, 0.570], [0.655, 0.316, 0.396], [0.657, 0.983, 0.069], [0.662, 0.981, 0.564], [0.663, 0.652, 0.429], [0.669, 0.321, 0.898], [0.670, 0.653, 0.237], [0.677, 0.320, 0.099], [0.679, 0.651, 0.735], [0.688, 0.646, 0.921], [0.020, 0.335, 0.170], [0.021, 0.639, 0.159], [0.311, 0.967, 0.000], [0.314, 0.336, 0.665], [0.516, 0.836, 0.165], [0.519, 0.467, 0.501], [0.810, 0.137, 0.659], [0.849, 0.147, 0.329], [0.981, 0.646, 0.830], [0.155, 0.494, 0.259], [0.167, 0.482, 0.763], [0.181, 0.823, 0.104], [0.650, 0.324, 0.604], [0.658, 0.983, 0.266], [0.668, 0.992, 0.762], [0.015, 0.307, 0.829], [0.015, 0.667, 0.498], [0.015, 0.970, 0.502], [0.308, 0.312, 0.329], [0.315, 0.636, 0.669], [0.317, 0.672, 0.001], [0.327, 0.997, 0.330], [0.351, 0.644, 0.329], [0.370, 0.317, 0.999], [0.372, 0.982, 0.669], [0.456, 0.483, 0.169], [0.461, 0.816, 0.498], [0.478, 0.146, 0.830], [0.506, 0.500, 0.829], [0.515, 0.172, 0.503], [0.519, 0.135, 0.167], [0.522, 0.809, 0.830], [0.813, 0.840, 0.668], [0.815, 0.473, 0.000], [0.815, 0.808, 0.329], [0.816, 0.166, 0.000], [0.833, 0.500, 0.331], [0.868, 0.481, 0.663], [0.874, 0.817, 0.003], [0.958, 0.317, 0.502], [0.960, 0.981, 0.164], [0.999, 0.000, 0.829], [0.028, 0.049, 0.881], [0.041, 0.899, 0.162], [0.042, 0.261, 0.776], [0.043, 0.396, 0.506], [0.046, 0.396, 0.230], [0.047, 0.585, 0.102], [0.047, 0.714, 0.551], [0.053, 0.042, 0.777], [0.057, 0.244, 0.499], [0.058, 0.052, 0.172], [0.059, 0.916, 0.832], [0.059, 0.921, 0.452], [0.062, 0.930, 0.556], [0.077, 0.265, 0.879], [0.077, 0.709, 0.448], [0.081, 0.056, 0.501], [0.082, 0.582, 0.501], [0.088, 0.392, 0.826], [0.089, 0.240, 0.171], [0.089, 0.559, 0.821], [0.094, 0.736, 0.156], [0.098, 0.723, 0.831], [0.102, 0.381, 0.119], [0.114, 0.599, 0.215], [0.226, 0.922, 0.058], [0.231, 0.396, 0.326], [0.233, 0.059, 0.000], [0.244, 0.718, 0.669], [0.245, 0.369, 0.607], [0.247, 0.271, 0.381], [0.251, 0.589, 0.006], [0.254, 0.712, 0.950], [0.254, 0.716, 0.333], [0.255, 0.241, 0.674], [0.255, 0.589, 0.720], [0.261, 0.563, 0.325], [0.263, 0.912, 0.333], [0.272, 0.398, 0.720], [0.272, 0.911, 0.666], [0.273, 0.262, 0.278], [0.275, 0.038, 0.279], [0.277, 0.391, 0.998], [0.279, 0.590, 0.616], [0.282, 0.238, 0.995], [0.282, 0.724, 0.054], [0.283, 0.060, 0.675], [0.285, 0.904, 0.949], [0.299, 0.046, 0.382], [0.336, 0.828, 0.165], [0.342, 0.493, 0.825], [0.344, 0.481, 0.504], [0.356, 0.170, 0.499], [0.361, 0.471, 0.220], [0.363, 0.145, 0.174], [0.364, 0.816, 0.833], [0.369, 0.499, 0.118], [0.370, 0.823, 0.447], [0.371, 0.808, 0.550], [0.389, 0.151, 0.779], [0.390, 0.136, 0.882], [0.438, 0.633, 0.381], [0.441, 0.650, 0.278], [0.453, 0.309, 0.054], [0.461, 0.992, 0.619], [0.463, 0.325, 0.332], [0.464, 0.971, 0.722], [0.469, 0.320, 0.951], [0.472, 0.643, 0.673], [0.476, 0.670, 0.998], [0.486, 0.981, 0.004], [0.490, 0.988, 0.328], [0.495, 0.328, 0.665], [0.528, 0.551, 0.881], [0.542, 0.405, 0.164], [0.545, 0.404, 0.449], [0.547, 0.222, 0.557], [0.548, 0.091, 0.113], [0.548, 0.737, 0.495], [0.554, 0.556, 0.177], [0.556, 0.890, 0.500], [0.557, 0.754, 0.782], [0.557, 0.899, 0.220], [0.562, 0.541, 0.779], [0.566, 0.415, 0.834], [0.568, 0.065, 0.827], [0.575, 0.219, 0.834], [0.575, 0.741, 0.175], [0.578, 0.088, 0.508], [0.580, 0.774, 0.884], [0.583, 0.212, 0.454], [0.586, 0.869, 0.107], [0.587, 0.089, 0.216], [0.589, 0.219, 0.166], [0.591, 0.896, 0.824], [0.598, 0.559, 0.500], [0.604, 0.422, 0.558], [0.719, 0.095, 0.716], [0.736, 0.233, 0.656], [0.742, 0.892, 0.326], [0.748, 0.059, 0.321], [0.749, 0.558, 0.998], [0.750, 0.080, 0.001], [0.752, 0.211, 0.951], [0.753, 0.756, 0.673], [0.754, 0.765, 0.379], [0.756, 0.880, 0.617], [0.757, 0.234, 0.331], [0.767, 0.549, 0.670], [0.770, 0.422, 0.951], [0.770, 0.433, 0.055], [0.775, 0.744, 0.000], [0.777, 0.414, 0.334], [0.778, 0.540, 0.279], [0.781, 0.895, 0.720], [0.784, 0.081, 0.604], [0.786, 0.210, 0.054], [0.788, 0.762, 0.276], [0.788, 0.896, 0.006], [0.789, 0.397, 0.663], [0.800, 0.549, 0.382], [0.834, 0.994, 0.825], [0.843, 0.330, 0.169], [0.849, 0.647, 0.171], [0.855, 0.980, 0.500], [0.857, 0.656, 0.494], [0.858, 0.320, 0.835], [0.860, 0.969, 0.214], [0.867, 0.305, 0.554], [0.868, 0.323, 0.450], [0.871, 0.655, 0.779], [0.879, 0.993, 0.111], [0.907, 0.629, 0.893], [0.935, 0.131, 0.389], [0.948, 0.491, 0.610], [0.951, 0.157, 0.273], [0.962, 0.805, 0.057], [0.966, 0.824, 0.953], [0.968, 0.470, 0.713], [0.972, 0.820, 0.335], [0.974, 0.156, 0.994], [0.974, 0.839, 0.667], [0.975, 0.482, 0.998], [0.982, 0.146, 0.670], [0.997, 0.494, 0.327]],
  "energy_mp2020_ev_per_atom": -6.592,
  "m_tot_mub_per_atom": 0.000,
  "formation_enthalpy_0k_mev_per_atom": -2434,
  "space_group": "No. 1"
}

{
  "formula": "Na15Ca7Ta5Si9S9O72",
  "functional": "PBE",
  "state": "relaxed",
  "lattice_angstrom": [[9.232, 0.000, 0.000], [4.601, 8.015, 0.000], [0.321, -0.080, 23.219]],
  "species": ["Na", "Na", "Na", "Na", "Na", "Na", "Na", "Na", "Na", "Na", "Na", "Na", "Na", "Na", "Na", "Ca", "Ca", "Ca", "Ca", "Ca", "Ca", "Ca", "Ta", "Ta", "Ta", "Ta", "Ta", "Si", "Si", "Si", "Si", "Si", "Si", "Si", "Si", "Si", "S", "S", "S", "S", "S", "S", "S", "S", "S", "O", "O", "O", "O", "O", "O", "O", "O", "O", "O", "O", "O", "O", "O", "O", "O", "O", "O", "O", "O", "O", "O", "O", "O", "O", "O", "O", "O", "O", "O", "O", "O", "O", "O", "O", "O", "O", "O", "O", "O", "O", "O", "O", "O", "O", "O", "O", "O", "O", "O", "O", "O", "O", "O", "O", "O", "O", "O", "O", "O", "O", "O", "O", "O", "O", "O", "O", "O", "O", "O", "O", "O"],
  "frac_coords": [[0.000, 0.000, 0.000], [0.000, 0.070, 0.317], [0.000, 0.704, 0.071], [0.011, 0.400, 0.490], [0.016, 0.682, 0.574], [0.301, 0.392, 0.999], [0.329, 0.063, 0.399], [0.357, 0.006, 0.908], [0.639, 0.044, 0.835], [0.647, 0.715, 0.330], [0.656, 0.398, 0.745], [0.679, 0.998, 0.486], [0.682, 0.344, 0.234], [0.692, 0.721, 0.992], [0.989, 0.364, 0.824], [0.004, 0.696, 0.430], [0.326, 0.050, 0.262], [0.336, 0.023, 0.763], [0.662, 0.375, 0.598], [0.671, 0.363, 0.099], [0.992, 0.692, 0.726], [0.996, 0.704, 0.925], [0.316, 0.040, 0.057], [0.341, 0.031, 0.557], [0.649, 0.381, 0.391], [0.665, 0.380, 0.903], [0.977, 0.713, 0.226], [0.038, 0.025, 0.168], [0.369, 0.669, 0.001], [0.373, 0.368, 0.499], [0.658, 0.078, 0.996], [0.661, 0.663, 0.496], [0.693, 0.694, 0.833], [0.703, 0.005, 0.334], [0.964, 0.368, 0.998], [0.993, 0.408, 0.332], [0.047, 0.321, 0.660], [0.298, 0.691, 0.327], [0.313, 0.400, 0.830], [0.316, 0.340, 0.161], [0.326, 0.749, 0.659], [0.624, 0.032, 0.659], [0.628, 0.748, 0.164], [0.963, 0.085, 0.495], [0.986, 0.018, 0.830], [0.010, 0.484, 0.391], [0.013, 0.922, 0.883], [0.021, 0.503, 0.986], [0.032, 0.841, 0.173], [0.041, 0.483, 0.654], [0.120, 0.061, 0.824], [0.125, 0.237, 0.714], [0.127, 0.027, 0.226], [0.132, 0.079, 0.501], [0.134, 0.215, 0.326], [0.144, 0.181, 0.005], [0.153, 0.505, 0.166], [0.156, 0.213, 0.608], [0.167, 0.012, 0.109], [0.170, 0.743, 0.655], [0.182, 0.716, 0.986], [0.183, 0.512, 0.494], [0.202, 0.722, 0.380], [0.216, 0.666, 0.277], [0.217, 0.474, 0.883], [0.235, 0.503, 0.779], [0.301, 0.249, 0.108], [0.326, 0.859, 0.609], [0.328, 0.231, 0.824], [0.334, 0.828, 0.712], [0.339, 0.241, 0.212], [0.339, 0.825, 0.319], [0.362, 0.184, 0.505], [0.375, 0.851, 0.008], [0.444, 0.551, 0.054], [0.455, 0.371, 0.155], [0.469, 0.529, 0.333], [0.472, 0.364, 0.553], [0.476, 0.584, 0.655], [0.477, 0.075, 0.007], [0.481, 0.850, 0.508], [0.488, 0.372, 0.835], [0.500, 0.339, 0.439], [0.506, 0.569, 0.944], [0.513, 0.864, 0.827], [0.517, 0.027, 0.607], [0.530, 0.007, 0.324], [0.531, 0.045, 0.712], [0.540, 0.825, 0.217], [0.549, 0.853, 0.112], [0.627, 0.202, 0.936], [0.631, 0.567, 0.437], [0.643, 0.178, 0.654], [0.659, 0.578, 0.158], [0.681, 0.514, 0.841], [0.699, 0.161, 0.047], [0.699, 0.189, 0.337], [0.711, 0.536, 0.547], [0.769, 0.719, 0.891], [0.784, 0.875, 0.655], [0.787, 0.909, 0.391], [0.800, 0.718, 0.489], [0.804, 0.737, 0.168], [0.805, 0.411, 0.336], [0.810, 0.889, 0.988], [0.822, 0.183, 0.835], [0.822, 0.640, 0.778], [0.838, 0.893, 0.275], [0.840, 0.416, 0.050], [0.853, 0.177, 0.162], [0.863, 0.155, 0.547], [0.869, 0.332, 0.939], [0.882, 0.335, 0.656], [0.883, 0.193, 0.443], [0.969, 0.931, 0.780], [0.970, 0.542, 0.276], [0.993, 0.915, 0.487]],
  "energy_mp2020_ev_per_atom": -7.224,
  "m_tot_mub_per_atom": 0.000,
  "formation_enthalpy_0k_mev_per_atom": -2648,
  "space_group": "No. 1"
}